# CaFeClO2 | Materials Project | PBE with a Hubbard U | optimized geometry
data_CaFeClO2
_space_group_name_H-M_alt 'C 1 2/m 1'
_space_group_IT_number 12
_cell_length_a 10.187
_cell_length_b 3.879
_cell_length_c 8.832
_cell_angle_alpha 90.00
_cell_angle_beta 104.21
_cell_angle_gamma 90.00
loop_
_space_group_symop_operation_xyz
'x,y,z'
'-x,-y,-z'
'-x,y,-z'
'x,-y,z'
'x+1/2,y+1/2,z'
'-x+1/2,-y+1/2,-z'
'-x+1/2,y+1/2,-z'
'x+1/2,-y+1/2,z'
loop_
_atom_site_label
_atom_site_fract_x
_atom_site_fract_y
_atom_site_fract_z
Ca1 0.108 0.000 0.292
Fe1 0.139 0.500 0.002
Cl1 0.165 0.000 0.623
O1 0.024 0.500 0.162
O2 0.185 0.000 0.058
# * ρ: 3.2 g/cm³
# * excess energy over the best structure of this formula in the dataset: 0.0 meV per atom
# * energy of formation from the pure elements: -2251 meV/atom


# CaFeClO2 | Materials Project | PBE with a Hubbard U | optimized geometry
data_CaFeClO2
_space_group_name_H-M_alt 'P 1'
_space_group_IT_number 1
_cell_length_a 3.624
_cell_length_b 4.142
_cell_length_c 12.633
_cell_angle_alpha 86.54
_cell_angle_beta 82.13
_cell_angle_gamma 88.69
loop_
_space_group_symop_operation_xyz
'x,y,z'
loop_
_atom_site_label
_atom_site_fract_x
_atom_site_fract_y
_atom_site_fract_z
Ca1 0.000 0.000 0.000
Ca2 0.410 0.598 0.359
Fe1 0.509 0.271 0.775
Fe2 0.838 0.059 0.518
Cl1 0.131 0.763 0.787
Cl2 0.478 0.623 0.131
O1 0.349 0.884 0.505
O2 0.536 0.207 0.920
O3 0.762 0.294 0.645
O4 0.904 0.306 0.385
# * ρ: 2.9 g/cm³
# * excess energy over the best structure of this formula in the dataset: 348.1 meV per atom
# * energy of formation from the pure elements: -1903 meV/atom


# CaFeClO2 | Materials Project | PBE with a Hubbard U | optimized geometry
data_CaFeClO2
_space_group_name_H-M_alt 'C 1 m 1'
_space_group_IT_number 8
_cell_length_a 5.735
_cell_length_b 4.664
_cell_length_c 13.063
_cell_angle_alpha 90.00
_cell_angle_beta 95.82
_cell_angle_gamma 90.00
loop_
_space_group_symop_operation_xyz
'x,y,z'
'x,-y,z'
'x+1/2,y+1/2,z'
'x+1/2,-y+1/2,z'
loop_
_atom_site_label
_atom_site_fract_x
_atom_site_fract_y
_atom_site_fract_z
Ca1 0.000 0.000 0.000
Ca2 0.242 0.000 0.646
Fe1 0.032 0.500 0.435
Fe2 0.038 0.500 0.168
Cl1 0.116 0.000 0.431
Cl2 0.420 0.500 0.784
O1 0.089 0.500 0.580
O2 0.103 0.500 0.026
O3 0.142 0.500 0.310
O4 0.203 0.000 0.156
# * ρ: 3.1 g/cm³
# * excess energy over the best structure of this formula in the dataset: 405.7 meV per atom
# * energy of formation from the pure elements: -1846 meV/atom